! KCo2O4 GGA+U relaxed; values from VASP
! E above lowest polymorph   0 meV/atom
! DFT formation energy   -1.463 eV/atom
! Calculated volume   354.59 Å³ per cell
! Energy with MP2020 corrections   -6.480 eV/atom
&SYSTEM
  ibrav = 0, nat = 28, ntyp = 3
/
ATOMIC_SPECIES
K 39.10 K.upf
Co 58.93 Co.upf
O 16.00 O.upf
CELL_PARAMETERS angstrom
4.9352 0.0000 0.0000
0.0029 5.7065 0.0000
0.0087 0.0003 12.5907
ATOMIC_POSITIONS angstrom
K 0.0000 0.0000 0.0000
K 0.3685 2.8554 6.2948
K 1.9874 2.8605 12.5739
K 3.3280 5.7015 6.2806
Co 0.1881 2.8544 9.4475
Co 0.1827 2.8607 3.1111
Co 0.1847 0.0011 3.1522
Co 0.1930 5.7012 9.4065
Co 2.6521 1.4189 3.1359
Co 2.6560 1.4364 9.4312
Co 2.6535 4.2819 3.1355
Co 2.6574 4.2802 9.4308
O 0.9917 4.2742 2.1522
O 0.9957 4.3020 10.4132
O 1.0164 1.4111 10.4153
O 1.0136 1.4295 2.1509
O 1.8156 0.0117 8.4558
O 1.8168 2.8425 4.0875
O 1.8363 0.0166 4.1081
O 1.8490 2.8377 8.4769
O 3.4581 0.0175 2.1806
O 3.4721 2.8381 10.4024
O 3.4918 0.0131 10.3826
O 3.4925 2.8447 2.1602
O 4.2951 1.4251 8.4456
O 4.2912 1.4443 4.1193
O 4.3158 4.2604 4.1173
O 4.3184 4.2882 8.4470